! r2SCAN Ba4CoRe2O12, relaxed; values from VASP
&SYSTEM
  ibrav = 0, nat = 19, ntyp = 4
/
ATOMIC_SPECIES
Ba 137.33 Ba.upf
Co 58.93 Co.upf
Re 186.21 Re.upf
O 16.00 O.upf
CELL_PARAMETERS angstrom
9.451 -2.867 -0.001
9.451 2.867 -0.001
8.582 0.000 4.888
ATOMIC_POSITIONS angstrom
Ba 19.466 0.000 3.460
Ba 8.019 0.000 1.425
Ba 23.889 0.000 4.247
Ba 3.596 0.000 0.639
Co 0.000 0.000 0.000
Re 15.977 0.000 2.840
Re 11.508 0.000 2.046
O 10.486 1.360 1.067
O 10.074 0.000 3.385
O 10.486 -1.360 1.067
O 16.999 -1.360 3.819
O 17.411 0.000 1.501
O 16.999 1.360 3.819
O 15.145 1.347 1.903
O 14.736 0.000 4.199
O 15.145 -1.347 1.903
O 12.341 -1.347 2.983
O 12.749 0.000 0.687
O 12.341 1.347 2.983
! - total magnetic moment (μB per cell) = 3.00
! - ΔE_f (eV per atom) = -2.39
! - space group = No. 166
! - final energy (eV per atom) = -17.956